# MnSi

A relaxed MnSi crystal (PBE, the Materials Project database).

MP2020-corrected energy: -15.5 eV per formula unit
VASP energy: -7.7635 eV per atom
density: 5.973 g/cm³
crystal system: cubic
calculated formation energy: -434.3 meV per atom

Structure (CIF):
```
data_MnSi
_symmetry_space_group_name_H-M 'P 21 3'
_symmetry_Int_Tables_number 198
_symmetry_space_group_name_Hall 'P 2ac 2ab 3'
_cell_length_a 4.520
_cell_length_b 4.520
_cell_length_c 4.520
_cell_angle_alpha 90.00
_cell_angle_beta 90.00
_cell_angle_gamma 90.00
loop_
_atom_site_label
_atom_site_type_symbol
_atom_site_fract_x
_atom_site_fract_y
_atom_site_fract_z
Mn1 Mn 0.137 0.137 0.137
Si1 Si 0.155 0.345 0.655
```



# Dy2TeO6

A relaxed Dy2TeO6 crystal (PBE, the Materials Project database).

MP2020-corrected energy: -69.3 eV per formula unit
VASP energy: -7.2398 eV per atom
density: 7.481 g/cm³
crystal system: orthorhombic
calculated formation energy: -3026.1 meV per atom
offset from the most stable computed form: 0.0 meV/atom

Structure (CIF):
```
data_Dy2TeO6
_symmetry_space_group_name_H-M 'P 21 21 21'
_symmetry_Int_Tables_number 19
_symmetry_space_group_name_Hall 'P 2ac 2ab'
_cell_length_a 5.321
_cell_length_b 9.133
_cell_length_c 10.022
_cell_angle_alpha 90.00
_cell_angle_beta 90.00
_cell_angle_gamma 90.00
loop_
_atom_site_label
_atom_site_type_symbol
_atom_site_fract_x
_atom_site_fract_y
_atom_site_fract_z
Dy1 Dy 0.026 0.103 0.461
Dy2 Dy 0.035 0.218 0.865
Te1 Te 0.041 0.495 0.354
O1 O 0.080 0.845 0.025
O2 O 0.176 0.950 0.295
O3 O 0.182 0.642 0.821
O4 O 0.186 0.641 0.237
O5 O 0.226 0.115 0.064
O6 O 0.248 0.413 0.994
```



# Nd2MgSe4

A relaxed Nd2MgSe4 crystal (PBE, the Materials Project database).

MP2020-corrected energy: -38.6 eV per formula unit
VASP energy: -5.2492 eV per atom
density: 4.783 g/cm³
crystal system: orthorhombic
calculated formation energy: -1930.3 meV per atom
magnetization: 0.0001 μB per atom
offset from the most stable computed form: 4.1 meV/atom

Structure (CIF):
```
data_Nd2MgSe4
_symmetry_space_group_name_H-M 'P n m a'
_symmetry_Int_Tables_number 62
_symmetry_space_group_name_Hall '-P 2ac 2n'
_cell_length_a 14.629
_cell_length_b 8.565
_cell_length_c 6.966
_cell_angle_alpha 90.00
_cell_angle_beta 90.00
_cell_angle_gamma 90.00
loop_
_atom_site_label
_atom_site_type_symbol
_atom_site_fract_x
_atom_site_fract_y
_atom_site_fract_z
Nd1 Nd 0.000 0.000 0.000
Nd2 Nd 0.233 0.250 0.499
Mg1 Mg 0.093 0.750 0.583
Se1 Se 0.069 0.250 0.255
Se2 Se 0.092 0.750 0.217
Se3 Se 0.169 0.513 0.754
```



# Ba2GdSbO6

A relaxed Ba2GdSbO6 crystal (PBE, the Materials Project database).

MP2020-corrected energy: -82.3 eV per formula unit
VASP energy: -7.8168 eV per atom
density: 6.839 g/cm³
crystal system: cubic
calculated formation energy: -3055.9 meV per atom
magnetization: 0.7000 μB per atom

Structure (CIF):
```
data_Ba2GdSbO6
_symmetry_space_group_name_H-M 'P n -3'
_symmetry_Int_Tables_number 201
_cell_length_a 8.577
_cell_length_b 8.577
_cell_length_c 8.577
_cell_angle_alpha 90.00
_cell_angle_beta 90.00
_cell_angle_gamma 90.00
loop_
_symmetry_equiv_pos_as_xyz
'x,y,z'
'-x,-y,-z'
'-x+1/2,-y+1/2,z'
'x+1/2,y+1/2,-z'
'x,-y+1/2,-z+1/2'
'-x,y+1/2,z+1/2'
'-x+1/2,y,-z+1/2'
'x+1/2,-y,z+1/2'
'z,x,y'
'-z,-x,-y'
'z,-x+1/2,-y+1/2'
'-z,x+1/2,y+1/2'
'-z+1/2,x,-y+1/2'
'z+1/2,-x,y+1/2'
'-z+1/2,-x+1/2,y'
'z+1/2,x+1/2,-y'
'y,z,x'
'-y,-z,-x'
'-y+1/2,z,-x+1/2'
'y+1/2,-z,x+1/2'
'-y+1/2,-z+1/2,x'
'y+1/2,z+1/2,-x'
'y,-z+1/2,-x+1/2'
'-y,z+1/2,x+1/2'
loop_
_atom_site_label
_atom_site_type_symbol
_atom_site_fract_x
_atom_site_fract_y
_atom_site_fract_z
Ba1 Ba 0.250 0.250 0.250
Ba2 Ba 0.250 0.250 0.750
Gd1 Gd 0.000 0.000 0.000
Sb1 Sb 0.000 0.000 0.500
O1 O 0.008 0.235 0.508
```



# Nd2H6Se7O20

A relaxed Nd2H6Se7O20 crystal (PBE, the Materials Project database).

MP2020-corrected energy: -211.1 eV per formula unit
VASP energy: -5.6384 eV per atom
density: 4.033 g/cm³
crystal system: orthorhombic
calculated formation energy: -1650.4 meV per atom
magnetization: 0.0002 μB per atom

Structure (CIF):
```
data_Nd2H6Se7O20
_symmetry_space_group_name_H-M 'P n a 21'
_symmetry_Int_Tables_number 33
_symmetry_space_group_name_Hall 'P 2c -2n'
_cell_length_a 10.827
_cell_length_b 7.448
_cell_length_c 23.842
_cell_angle_alpha 90.00
_cell_angle_beta 90.00
_cell_angle_gamma 90.00
loop_
_atom_site_label
_atom_site_type_symbol
_atom_site_fract_x
_atom_site_fract_y
_atom_site_fract_z
Nd1 Nd 0.069 0.044 0.000
Nd2 Nd 0.162 0.954 0.824
H1 H 0.032 0.187 0.602
H2 H 0.112 0.824 0.116
H3 H 0.154 0.486 0.183
H4 H 0.159 0.718 0.696
H5 H 0.188 0.630 0.571
H6 H 0.213 0.427 0.576
Se1 Se 0.004 0.561 0.302
Se2 Se 0.029 0.255 0.144
Se3 Se 0.064 0.295 0.409
Se4 Se 0.174 0.036 0.281
Se5 Se 0.181 0.264 0.697
Se6 Se 0.209 0.793 0.422
Se7 Se 0.218 0.567 0.025
O1 O 0.010 0.907 0.903
O2 O 0.022 0.268 0.074
O3 O 0.029 0.112 0.270
O4 O 0.042 0.886 0.098
O5 O 0.047 0.598 0.857
O6 O 0.074 0.480 0.161
O7 O 0.078 0.745 0.456
O8 O 0.092 0.265 0.816
O9 O 0.132 0.104 0.506
O10 O 0.132 0.712 0.655
O11 O 0.141 0.730 0.990
O12 O 0.143 0.629 0.327
O13 O 0.179 0.899 0.215
O14 O 0.186 0.364 0.981
O15 O 0.189 0.258 0.368
O16 O 0.208 0.253 0.627
O17 O 0.212 0.094 0.919
O18 O 0.223 0.059 0.722
O19 O 0.229 0.706 0.759
O20 O 0.233 0.533 0.553
```



# AlSiH9C3Cl2O

A relaxed AlSiH9C3Cl2O crystal (PBE, the Materials Project database).

MP2020-corrected energy: -88.6 eV per formula unit
VASP energy: -5.1699 eV per atom
density: 1.228 g/cm³
crystal system: monoclinic
calculated formation energy: -737.6 meV per atom
magnetization: 0.0000 μB per atom

Structure (CIF):
```
data_AlSiH9C3Cl2O
_symmetry_space_group_name_H-M 'P 1 21/c 1'
_symmetry_Int_Tables_number 14
_symmetry_space_group_name_Hall '-P 2ybc'
_cell_length_a 7.074
_cell_length_b 9.430
_cell_length_c 15.680
_cell_angle_alpha 90.00
_cell_angle_beta 104.67
_cell_angle_gamma 90.00
loop_
_atom_site_label
_atom_site_type_symbol
_atom_site_fract_x
_atom_site_fract_y
_atom_site_fract_z
Al1 Al 0.033 0.070 0.430
Si1 Si 0.190 0.234 0.618
H1 H 0.041 0.051 0.162
H2 H 0.099 0.614 0.442
H3 H 0.117 0.699 0.343
H4 H 0.203 0.101 0.757
H5 H 0.296 0.141 0.998
H6 H 0.385 0.234 0.773
H7 H 0.419 0.072 0.720
H8 H 0.429 0.084 0.104
H9 H 0.488 0.248 0.061
C1 C 0.016 0.647 0.376
C2 C 0.310 0.152 0.727
C3 C 0.367 0.178 0.065
Cl1 Cl 0.153 0.731 0.138
Cl2 Cl 0.278 0.025 0.380
O1 O 0.090 0.093 0.550
```



# La2Se2O

A relaxed La2Se2O crystal (PBE, the Materials Project database).

MP2020-corrected energy: -35.4 eV per formula unit
VASP energy: -6.9415 eV per atom
density: 5.987 g/cm³
crystal system: monoclinic
calculated formation energy: -2716.5 meV per atom

Structure (CIF):
```
data_La2Se2O
_symmetry_space_group_name_H-M 'P 1 21/c 1'
_symmetry_Int_Tables_number 14
_symmetry_space_group_name_Hall '-P 2ybc'
_cell_length_a 9.037
_cell_length_b 7.509
_cell_length_c 7.495
_cell_angle_alpha 90.00
_cell_angle_beta 99.85
_cell_angle_gamma 90.00
loop_
_atom_site_label
_atom_site_type_symbol
_atom_site_fract_x
_atom_site_fract_y
_atom_site_fract_z
La1 La 0.074 0.148 0.325
La2 La 0.357 0.553 0.245
Se1 Se 0.180 0.629 0.566
Se2 Se 0.421 0.223 0.471
O1 O 0.115 0.084 0.649
```



# MgSi2

A relaxed MgSi2 crystal (PBE, the Materials Project database).

MP2020-corrected energy: -11.8 eV per formula unit
VASP energy: -3.9781 eV per atom
density: 2.654 g/cm³
crystal system: monoclinic
calculated formation energy: 219.5 meV per atom
magnetization: 0.0001 μB per atom
offset from the most stable computed form: 141.9 meV/atom

Structure (CIF):
```
data_MgSi2
_symmetry_space_group_name_H-M 'P 1 m 1'
_symmetry_Int_Tables_number 6
_symmetry_space_group_name_Hall 'P -2y'
_cell_length_a 7.597
_cell_length_b 5.727
_cell_length_c 9.260
_cell_angle_alpha 90.00
_cell_angle_beta 90.04
_cell_angle_gamma 90.00
loop_
_atom_site_label
_atom_site_type_symbol
_atom_site_fract_x
_atom_site_fract_y
_atom_site_fract_z
Mg1 Mg 0.000 0.000 0.000
Mg2 Mg 0.004 0.500 0.014
Mg3 Mg 0.209 0.500 0.286
Mg4 Mg 0.229 0.000 0.295
Mg5 Mg 0.492 0.000 0.797
Mg6 Mg 0.512 0.500 0.785
Mg7 Mg 0.717 0.500 0.513
Mg8 Mg 0.723 0.000 0.500
Si1 Si 0.045 0.278 0.521
Si2 Si 0.177 0.283 0.779
Si3 Si 0.337 0.226 0.034
Si4 Si 0.384 0.224 0.533
Si5 Si 0.544 0.283 0.279
Si6 Si 0.677 0.278 0.021
Si7 Si 0.837 0.221 0.764
Si8 Si 0.884 0.221 0.263
```



# BaCa2I6

A relaxed BaCa2I6 crystal (PBE, the Materials Project database).

MP2020-corrected energy: -31.7 eV per formula unit
VASP energy: -3.2721 eV per atom
density: 3.762 g/cm³
crystal system: monoclinic
calculated formation energy: -1849.9 meV per atom
magnetization: 0.0000 μB per atom
offset from the most stable computed form: 67.4 meV/atom

Structure (CIF):
```
data_BaCa2I6
_symmetry_space_group_name_H-M 'P 1 21/c 1'
_symmetry_Int_Tables_number 14
_symmetry_space_group_name_Hall '-P 2ybc'
_cell_length_a 7.485
_cell_length_b 8.071
_cell_length_c 15.655
_cell_angle_alpha 90.00
_cell_angle_beta 113.96
_cell_angle_gamma 90.00
loop_
_atom_site_label
_atom_site_type_symbol
_atom_site_fract_x
_atom_site_fract_y
_atom_site_fract_z
Ba1 Ba 0.000 0.000 0.000
Ca1 Ca 0.338 0.104 0.753
I1 I 0.038 0.100 0.224
I2 I 0.317 0.672 0.105
I3 I 0.448 0.188 0.105
```



- Number 3 is which compound?
  Nd2MgSe4



- Among the records above, which one has the highest VASP energy?
  BaCa2I6



- Look up the calculated formation energy of the ninth one.
  -1849.9 meV per atom



- VASP energy of number 6 (AlSiH9C3Cl2O)?
  -5.1699 eV per atom